No. 1
Here is crystalline Ba3Fe2N4 at its relaxed geometry from the Materials Project database. Energies are from PBE.

a = 12.2772 Å, b = 8.9450 Å, c = 5.6387 Å
α = 90.00°, β = 93.86°, γ = 90.00°
Last column: nearest neighbours and their distance in Å.
Space group C2/c (No. 15)
Inequivalent atoms, fractional coordinates:
Ba 0.0000 0.0938 0.2500 x4  4 N 2.75-2.84
Ba 0.1298 0.3658 0.5598 x8  2 N 2.67-2.77
Fe 0.2148 0.1249 0.9402 x8  4 N 1.88-1.90
N 0.1415 0.2988 0.0411 x8  2 Fe 1.89-1.90
N 0.1891 0.0434 0.6334 x8  2 Fe 1.88-1.90

- Energy with MP2020 corrections: -6.6652 eV per atom

=====

No. 2
Here is crystalline Ba3Fe2N4 at its relaxed geometry from the Materials Project database. Energies are from PBE.

a = 6.1073 Å, b = 10.1212 Å, c = 10.1231 Å
α = 90.00°, β = 90.00°, γ = 90.00°
Last column: nearest neighbours and their distance in Å.
Space group Pnna (No. 52)
Inequivalent atoms, fractional coordinates:
Ba 0.1052 0.1582 0.0845 x8  4 N 2.65-2.83
Ba 0.2500 0.0000 0.4012 x4  6 N 2.82-3.00
Fe 0.1461 0.2500 0.7500 x4  4 N 1.96-1.98
Fe 0.2500 0.0000 0.7323 x4  4 N 1.82-1.87
N 0.0292 0.0871 0.8264 x8  2 Fe 1.87-1.96
N 0.1625 0.6418 0.8652 x8  2 Fe 1.82-1.98

- Energy with MP2020 corrections: -6.7450 eV per atom

=====

No. 3
Here is crystalline Ba7Fe6S14 at its relaxed geometry from the Materials Project database. Energies are from PBE.

a = 25.8506 Å, b = 8.2979 Å, c = 15.0453 Å
α = 90.00°, β = 118.75°, γ = 90.00°
Last column: nearest neighbours and their distance in Å.
Space group C2/c (No. 15)
Inequivalent atoms, fractional coordinates:
Ba 0.0000 0.1773 0.2500 x4  8 S 3.29-3.51
Ba 0.0099 0.2861 0.5752 x8  5 S 3.06-3.32
Ba 0.1749 0.0405 0.2339 x8  7 S 3.16-3.36
Ba 0.1817 0.4655 0.8758 x8  8 S 3.22-3.42
Fe 0.1352 0.2349 0.5149 x8  4 S 2.28-2.31
Fe 0.1365 0.0720 0.9508 x8  4 S 2.24-2.34
Fe 0.1387 0.4518 0.0882 x8  4 S 2.27-2.35
S 0.0710 0.0304 0.4994 x8  2 Fe 2.31
S 0.0756 0.4468 0.4258 x8  2 Fe 2.30-2.35
S 0.0861 0.1537 0.7896 x8  1 Fe 2.24
S 0.0876 0.3570 0.1651 x8  1 Fe 2.27
S 0.1924 0.3248 0.6790 x8  2 Fe 2.31-2.33
S 0.1928 0.1404 0.4496 x8  2 Fe 2.28-2.29
S 0.1994 0.2600 0.0700 x8  2 Fe 2.34

- Energy with MP2020 corrections: -5.8719 eV per atom

=====

No. 4
Here is crystalline Ba6Fe8S15 at its relaxed geometry from the Materials Project database. Energies are from PBE.

a = 11.4328 Å, b = 11.4328 Å, c = 10.1406 Å
α = 90.00°, β = 90.00°, γ = 90.00°
Last column: nearest neighbours and their distance in Å.
Space group I4/m (No. 87)
Inequivalent atoms, fractional coordinates:
Ba 0.0000 0.0000 0.1972 x4  9 S 3.07-3.37
Ba 0.1324 0.7489 0.5000 x8  7 S 3.13-3.47
Fe 0.0584 0.6466 0.1333 x16  4 S 2.21-2.27
S 0.0000 0.0000 0.5000 x2  6 Ba 3.07-3.25
S 0.0000 0.5000 0.0000 x4  4 Fe 2.25
S 0.0781 0.2766 0.2704 x16  2 Fe 2.26-2.27
S 0.0975 0.7948 0.0000 x8  2 Fe 2.21

- Energy with MP2020 corrections: -6.1841 eV per atom

=====

No. 5
Here is crystalline Ba2FeS3 at its relaxed geometry from the Materials Project database. Energies are from PBE.

a = 12.1805 Å, b = 4.1725 Å, c = 12.1000 Å
α = 90.00°, β = 90.00°, γ = 90.00°
Last column: nearest neighbours and their distance in Å.
Space group Pnma (No. 62)
Inequivalent atoms, fractional coordinates:
Ba 0.0124 0.2500 0.1706 x4  7 S 3.14-3.20
Ba 0.1748 0.2500 0.5196 x4  7 S 3.16-3.44, 3 Fe 3.49-3.52
Fe 0.2451 0.7500 0.2995 x4  4 S 2.23-2.25
S 0.0690 0.7500 0.3555 x4  1 Fe 2.25
S 0.1427 0.2500 0.9452 x4  1 Fe 2.23
S 0.2342 0.7500 0.7371 x4  2 Fe 2.23

- Energy with MP2020 corrections: -5.7116 eV per atom

=====

No. 6
Here is crystalline Ba5Fe4S11 at its relaxed geometry from the Materials Project database. Energies are from PBE.

a = 15.9653 Å, b = 7.3049 Å, c = 8.7971 Å
α = 90.00°, β = 90.00°, γ = 90.00°
Last column: nearest neighbours and their distance in Å.
Space group Pmn2_1 (No. 31)
Inequivalent atoms, fractional coordinates:
Ba 0.0000 0.0254 0.0000 x2  7 S 3.20-3.56, 1 Fe 3.40
Ba 0.1726 0.5312 0.2389 x4  7 S 3.13-3.41
Ba 0.1968 0.9785 0.6187 x4  7 S 3.12-3.41
Fe 0.0000 0.0542 0.3857 x2  4 S 2.23-2.25
Fe 0.0000 0.3771 0.5517 x2  4 S 2.18-2.24
Fe 0.1120 0.5179 0.8447 x4  4 S 2.22-2.25
S 0.0000 0.0898 0.6401 x2  2 Fe 2.24-2.25
S 0.0000 0.3451 0.3053 x2  2 Fe 2.18-2.24
S 0.0000 0.5822 0.9881 x2  2 Fe 2.24
S 0.1182 0.5315 0.5899 x4  2 Fe 2.22-2.25
S 0.1184 0.9411 0.2900 x4  1 Fe 2.23
S 0.1708 0.2578 0.9252 x4  1 Fe 2.23
S 0.1965 0.7434 0.9153 x4  1 Fe 2.22

- Energy with MP2020 corrections: -5.9183 eV per atom

=====

No. 7
Here is crystalline Ba9Fe4S15 at its relaxed geometry from the Materials Project database. Energies are from PBE.

a = 25.3901 Å, b = 9.6343 Å, c = 12.7192 Å
α = 90.00°, β = 90.00°, γ = 90.00°
Last column: nearest neighbours and their distance in Å.
Space group Pnma (No. 62)
Inequivalent atoms, fractional coordinates:
Ba 0.0131 0.0111 0.1795 x8  8 S 3.29-3.45, 1 Fe 3.60
Ba 0.0217 0.7500 0.4618 x4  7 S 3.12-3.37
Ba 0.1404 0.0312 0.6304 x8  6 S 3.16-3.47, 1 Fe 3.50
Ba 0.1425 0.2500 0.9441 x4  8 S 3.17-3.51
Ba 0.1929 0.5148 0.3014 x8  6 S 3.21-3.52
Ba 0.2078 0.7500 0.0246 x4  6 S 3.03-3.36
Fe 0.0733 0.7500 0.0162 x4  4 S 2.20-2.28
Fe 0.0988 0.2500 0.3689 x4  4 S 2.22-2.26
Fe 0.1160 0.7500 0.8221 x4  4 S 2.18-2.32
Fe 0.2237 0.7500 0.5803 x4  4 S 2.20-2.36
S 0.0131 0.2500 0.9932 x4  1 Fe 2.20
S 0.0564 0.7500 0.6987 x4  1 Fe 2.18
S 0.0601 0.2500 0.7225 x4  5 Ba 3.13-3.37
S 0.0613 0.0505 0.4175 x8  1 Fe 2.23
S 0.1051 0.5626 0.9270 x8  2 Fe 2.26-2.28
S 0.1061 0.7500 0.1823 x4  1 Fe 2.27
S 0.1127 0.2500 0.1969 x4  1 Fe 2.22
S 0.1544 0.7500 0.4732 x4  1 Fe 2.22
S 0.1771 0.2500 0.4539 x4  1 Fe 2.26
S 0.2019 0.7500 0.7609 x4  2 Fe 2.32-2.36
S 0.2225 0.2500 0.7435 x4  6 Ba 3.21-3.30
S 0.2330 0.0558 0.0515 x8  1 Fe 2.20

- Energy with MP2020 corrections: -5.7760 eV per atom

=====

No. 8
Here is crystalline BaFe2Se3 at its relaxed geometry from the Materials Project database. Energies are from PBE.

a = 9.1336 Å, b = 12.0699 Å, c = 5.4637 Å
α = 90.00°, β = 90.00°, γ = 90.00°
Last column: nearest neighbours and their distance in Å.
Space group Cmcm (No. 63)
Inequivalent atoms, fractional coordinates:
Ba 0.0000 0.1858 0.2500 x4  8 Se 3.43-3.54
Fe 0.1388 0.5000 0.0000 x8  4 Se 2.42-2.46, 1 Fe 2.54
Se 0.0000 0.3663 0.7500 x4  4 Fe 2.46
Se 0.2097 0.1197 0.7500 x8  2 Fe 2.42

- Energy with MP2020 corrections: -5.9301 eV per atom